[1]
36
Lattice="6.433 -4.383 0.000 6.433 4.383 0.000 -3.027 0.000 7.017" Properties=species:S:1:pos:R:3 comment="NaBe2BO3F2 PBE optimized geometry" ef_mev_per_atom=-3119 dft_energy_ev_per_cell=-237.0 pbc="T T T"
Na 0.000 0.000 0.000
Na 4.920 0.485 3.508
Na 6.433 -0.863 0.000
Na 4.920 -3.129 3.508
Be 1.932 1.459 2.136
Be 1.865 1.211 4.902
Be -0.067 -0.744 5.611
Be 3.068 -0.988 1.376
Be 7.974 1.211 2.115
Be 7.907 1.459 4.881
Be 6.772 -0.988 5.641
Be 9.907 -0.744 1.406
B 3.599 1.308 0.156
B 1.459 -0.825 3.409
B 6.240 1.308 6.861
B 8.380 -0.825 3.608
O 1.960 2.185 3.596
O 1.091 2.004 6.100
O 3.242 1.999 1.297
O 0.936 -0.111 4.469
O 2.048 -0.156 2.355
O 3.390 -0.058 0.060
O 6.597 1.999 5.720
O 7.879 2.185 3.421
O 8.749 2.004 0.917
O 6.450 -0.058 6.957
O 7.791 -0.156 4.662
O 8.903 -0.111 2.548
F -1.531 -0.377 5.288
F 3.276 0.719 5.292
F 6.563 0.719 1.725
F 4.362 -1.309 2.145
F 2.751 -2.614 5.682
F 5.477 -1.309 4.872
F 7.088 -2.614 1.335
F 11.370 -0.377 1.729

---

[2]
16
Lattice="3.873 0.000 0.000 0.000 4.022 0.000 -0.167 0.000 15.770" Properties=species:S:1:pos:R:3 comment="Ba2DyMgCu4O8 PBE optimized geometry" de_polymorph_ev_per_atom=0.0330 ef_mev_per_atom=-1959 dft_energy_ev_per_cell=-91.9 pbc="T T T"
Ba 0.000 0.000 0.000
Ba 0.056 0.000 7.150
Dy 3.828 0.000 3.504
Mg 2.009 2.011 13.096
Cu 0.093 2.011 11.152
Cu 1.889 2.011 1.893
Cu 1.912 2.011 5.029
Cu 2.019 2.011 9.172
O -0.026 2.011 4.694
O 0.083 2.011 9.179
O 0.079 2.011 13.815
O 1.889 0.000 1.832
O 1.898 0.000 4.778
O 2.006 2.011 7.287
O 2.031 2.011 11.173
O 3.823 2.011 1.836

---

[3]
24
Lattice="2.999 0.000 0.000 -1.499 2.597 0.000 0.000 0.000 29.819" Properties=species:S:1:pos:R:3 comment="MgO PBE optimized geometry" ef_mev_per_atom=-3014 dft_energy_ev_per_cell=-142.7 pbc="T T T"
Mg 0.000 0.000 0.000
Mg 0.000 0.000 7.455
Mg 0.000 0.000 14.909
Mg 0.000 0.000 22.364
Mg 0.000 1.731 2.460
Mg 0.000 1.731 12.449
Mg 0.000 1.731 19.830
Mg 0.000 1.731 24.898
Mg 1.499 0.866 4.920
Mg 1.499 0.866 9.989
Mg 1.499 0.866 17.370
Mg 1.499 0.866 27.358
O 0.000 0.000 3.691
O 0.000 0.000 11.219
O 0.000 0.000 18.600
O 0.000 0.000 26.128
O 0.000 1.731 6.147
O 0.000 1.731 8.763
O 0.000 1.731 16.140
O 0.000 1.731 28.588
O 1.499 0.866 1.230
O 1.499 0.866 13.679
O 1.499 0.866 21.056
O 1.499 0.866 23.672

---

[4]
6
Lattice="2.605 1.504 4.004 -2.605 1.504 4.004 0.000 -3.007 4.004" Properties=species:S:1:pos:R:3 comment="Dy2FeCo3 PBE optimized geometry" ef_mev_per_atom=-194 dft_energy_ev_per_cell=-40.2 pbc="T T T"
Dy 0.000 0.000 1.525
Dy 0.000 0.000 10.486
Fe 0.000 0.000 6.006
Co -1.302 -0.752 4.004
Co -1.302 0.752 8.008
Co 0.000 1.504 4.004

---

[5]
64
Lattice="11.423 0.000 0.000 0.000 10.472 0.000 -7.242 0.000 14.295" Properties=species:S:1:pos:R:3 comment="SbHC2NCl11 PBE optimized geometry" ef_mev_per_atom=-785 dft_energy_ev_per_cell=-241.8 pbc="T T T"
Sb 0.910 2.234 2.818
Sb -2.711 3.002 9.965
Sb 6.892 7.470 4.330
Sb 3.271 8.237 11.477
H -4.432 7.154 11.702
H -0.811 8.553 4.555
H 4.991 1.918 9.740
H 8.612 3.317 2.592
C 0.682 7.651 3.529
C -2.939 8.056 10.676
C -2.981 7.743 13.176
C 0.640 7.964 6.029
C 3.540 2.508 8.266
C 7.161 2.728 1.119
C 7.119 2.415 3.619
C 3.498 2.821 10.766
N -3.499 7.620 11.781
N 0.122 8.087 4.634
N 4.059 2.385 9.661
N 7.680 2.851 2.514
Cl -0.683 1.132 1.395
Cl -4.304 4.104 8.542
Cl -4.270 1.125 10.219
Cl -0.649 4.111 3.072
Cl -3.719 7.804 9.218
Cl -0.098 7.904 2.071
Cl -0.084 1.193 4.751
Cl -3.705 4.042 11.898
Cl -1.760 1.866 8.064
Cl 1.861 3.370 0.917
Cl -4.116 6.821 14.179
Cl -0.495 8.887 7.032
Cl 2.429 0.387 2.568
Cl -1.192 4.849 9.715
Cl 2.141 6.848 3.518
Cl -1.480 8.860 10.666
Cl 0.646 6.252 6.495
Cl -2.975 9.456 13.643
Cl -1.163 1.855 11.401
Cl 2.458 3.381 4.254
Cl -1.360 7.049 13.318
Cl 2.261 8.658 6.171
Cl 1.920 1.813 8.124
Cl 5.541 3.422 0.977
Cl 1.723 7.091 10.040
Cl 5.344 8.616 2.893
Cl 7.156 1.016 0.652
Cl 3.535 4.220 7.799
Cl 5.661 1.612 3.629
Cl 2.040 3.624 10.776
Cl 5.373 5.623 4.579
Cl 1.752 10.085 11.727
Cl 4.675 1.585 7.263
Cl 8.296 3.651 0.116
Cl 2.319 7.102 13.378
Cl 5.940 8.606 6.230
Cl 7.885 6.429 2.397
Cl 4.264 9.278 9.544
Cl 4.279 2.568 12.224
Cl 7.900 2.668 5.076
Cl 4.829 6.360 11.223
Cl 8.450 9.347 4.076
Cl 8.485 6.368 5.753
Cl 4.864 9.340 12.900

---

[6]
50
Lattice="9.338 0.000 0.000 4.666 8.201 0.000 0.838 4.709 12.126" Properties=species:S:1:pos:R:3 comment="HgH12C2I4N6 PBE optimized geometry" ef_mev_per_atom=-426 dft_energy_ev_per_cell=-248.1 pbc="T T T"
Hg 4.196 4.431 3.224
Hg 10.645 8.479 8.902
H 5.407 8.776 4.339
H 4.896 7.296 5.107
H 6.794 10.258 5.483
H 4.354 7.005 10.903
H 6.972 8.004 1.435
H 7.258 9.947 7.121
H 5.559 6.824 7.287
H 4.405 4.907 9.886
H 5.813 7.677 11.596
H 6.511 8.006 8.192
H 6.991 6.425 0.701
H 8.937 8.909 2.321
H 5.904 4.002 9.805
H 7.850 6.485 11.424
H 8.330 4.905 3.933
H 9.028 5.233 0.530
H 10.436 8.003 2.240
H 9.282 6.086 4.839
H 7.584 2.963 5.004
H 7.869 4.907 10.690
H 10.487 5.905 1.222
H 8.047 2.652 6.643
H 9.945 5.614 7.019
H 9.434 4.134 7.787
C 6.048 8.532 6.273
C 6.039 5.845 10.697
C 8.802 7.065 1.428
C 8.793 4.379 5.853
I 3.684 6.924 1.932
I 2.126 2.532 2.557
I 4.289 4.713 6.051
I 8.166 9.571 9.869
I 6.675 3.339 2.257
I 10.552 8.197 6.075
I 12.715 10.378 9.569
I 11.157 5.986 10.194
N 5.429 8.163 5.146
N 6.639 9.735 6.342
N 6.060 7.712 7.328
N 5.363 6.948 11.055
N 7.500 7.183 1.142
N 5.414 4.868 10.027
N 9.427 8.042 2.098
N 7.341 5.727 10.984
N 9.478 5.963 1.071
N 8.781 5.198 4.798
N 8.202 3.175 5.783
N 9.412 4.747 6.980

---

[7]
24
Lattice="7.375 0.000 0.000 0.000 3.935 0.000 0.000 0.000 16.232" Properties=species:S:1:pos:R:3 comment="CeZnRh PBE optimized geometry" ef_mev_per_atom=-681 dft_energy_ev_per_cell=-132.8 pbc="T T T"
Ce 0.391 0.984 3.512
Ce 1.275 0.984 7.157
Ce 2.413 2.951 15.273
Ce 3.297 2.951 11.628
Ce 4.078 0.984 4.604
Ce 4.962 0.984 0.959
Ce 6.100 2.951 9.075
Ce 6.984 2.951 12.720
Zn 0.018 2.951 0.978
Zn 0.873 0.984 10.582
Zn 2.814 2.951 2.466
Zn 3.670 0.984 9.094
Zn 3.705 2.951 7.138
Zn 4.561 0.984 13.766
Zn 6.502 2.951 5.650
Zn 7.357 0.984 15.254
Rh 1.808 0.984 13.229
Rh 1.847 0.984 1.014
Rh 1.840 2.951 9.130
Rh 1.879 2.951 5.113
Rh 5.496 0.984 11.119
Rh 5.535 0.984 7.102
Rh 5.527 2.951 15.218
Rh 5.566 2.951 3.003

---

[8]
20
Lattice="6.321 0.000 0.000 -1.580 6.169 0.000 -1.567 -1.202 7.468" Properties=species:S:1:pos:R:3 comment="Tc2P3 PBE optimized geometry" de_polymorph_ev_per_atom=0.0000 ef_mev_per_atom=-540 dft_energy_ev_per_cell=-158.6 pbc="T T T"
Tc -0.906 1.794 2.700
Tc -0.705 -0.516 6.423
Tc 0.876 5.467 1.091
Tc 0.679 3.135 4.716
Tc 2.496 1.831 2.753
Tc 2.299 -0.500 6.377
Tc 3.879 5.482 1.046
Tc 4.080 3.172 4.769
P -2.353 3.062 7.198
P -0.795 1.339 5.061
P 0.802 0.038 2.697
P -0.775 5.045 4.615
P 0.784 3.528 2.375
P 2.374 1.935 0.321
P 0.801 3.032 7.147
P 2.391 1.439 5.093
P 3.949 -0.078 2.854
P 2.373 4.929 4.771
P 3.969 3.628 2.407
P 5.527 1.905 0.271

---

[9]
12
Lattice="4.913 -2.932 0.000 4.913 2.932 0.000 0.000 0.000 5.049" Properties=species:S:1:pos:R:3 comment="LiIr2N3 PBE optimized geometry" ef_mev_per_atom=200 dft_energy_ev_per_cell=-84.6 pbc="T T T"
Li 4.913 1.934 2.524
Li 4.913 -1.934 0.000
Ir 3.558 0.758 0.126
Ir 3.558 -0.758 2.651
Ir 6.268 0.758 0.126
Ir 6.268 -0.758 2.651
N 2.884 0.959 1.907
N 4.913 1.968 4.552
N 2.884 -0.959 4.431
N 6.942 0.959 1.907
N 4.913 -1.968 2.028
N 6.942 -0.959 4.431

---

[10]
108
Lattice="8.684 0.000 0.000 -4.342 7.521 0.000 0.000 0.000 22.900" Properties=species:S:1:pos:R:3 comment="Na2HfMg3S6O24 PBE optimized geometry" ef_mev_per_atom=-2402 dft_energy_ev_per_cell=-692.9 pbc="T T T"
Na 0.000 0.000 0.000
Na 0.000 0.000 10.980
Na 0.000 5.014 3.651
Na 0.000 5.014 14.854
Na 4.342 2.507 7.589
Na 4.342 2.507 18.978
Hf 0.000 0.000 19.320
Hf 4.342 2.507 4.033
Hf 4.342 2.507 15.358
Mg 0.000 0.000 3.204
Mg 0.000 0.000 7.841
Mg 0.000 0.000 14.502
Mg 0.000 5.014 0.226
Mg 0.000 5.014 7.064
Mg 0.000 5.014 11.433
Mg 0.000 5.014 18.451
Mg 4.342 2.507 10.663
Mg 4.342 2.507 22.301
S -1.240 2.216 16.886
S -3.038 5.371 5.464
S -1.270 2.793 9.282
S -2.513 4.958 20.733
S 1.210 2.205 5.464
S -1.803 7.487 16.886
S -1.288 7.224 9.282
S 1.305 2.866 20.733
S 3.046 0.291 1.606
S 1.764 2.512 13.047
S 1.208 7.218 20.733
S 2.558 5.024 9.282
S 5.627 0.271 13.047
S 3.071 4.737 1.606
S 3.043 5.339 16.886
S 1.828 7.466 5.464
S 6.909 2.493 1.606
S 5.636 4.737 13.047
O -0.656 1.449 9.157
O -3.401 6.210 20.563
O -0.703 1.568 15.708
O -3.306 6.124 4.231
O -1.726 4.815 19.500
O -1.020 3.606 8.081
O -0.958 3.719 1.526
O -1.585 4.836 13.003
O -0.708 3.399 10.513
O -1.711 5.208 21.924
O -0.661 3.548 17.072
O -1.587 5.166 5.592
O -2.759 7.364 9.157
O 0.664 1.470 20.563
O -2.633 7.346 15.708
O 0.691 1.596 4.231
O 1.591 0.165 1.780
O 0.947 1.311 13.262
O 1.692 0.177 18.120
O 1.028 1.386 6.651
O 0.687 3.435 21.924
O -1.044 6.434 10.513
O -0.939 6.319 17.072
O 0.662 3.563 5.592
O 0.947 3.731 13.003
O -0.710 6.601 8.081
O -0.643 6.491 1.526
O 1.035 3.619 19.500
O 3.307 1.099 0.405
O 2.637 2.333 11.909
O 3.385 1.214 16.807
O 2.740 2.347 5.286
O 3.638 0.969 2.821
O 2.647 2.680 14.331
O 3.679 1.049 9.409
O 2.754 2.661 20.857
O 0.638 6.475 13.003
O 1.601 4.831 1.526
O 0.691 6.607 19.500
O 1.729 4.835 8.081
O 0.925 6.312 5.592
O 1.600 5.174 17.072
O 1.024 6.399 21.924
O 1.752 5.208 10.513
O 5.039 0.952 14.331
O 5.003 1.055 20.857
O 3.411 3.810 9.409
O 3.363 3.886 2.821
O 5.281 1.199 5.286
O 5.345 1.117 11.909
O 3.701 3.982 16.807
O 3.640 4.107 0.405
O 2.614 7.321 4.231
O 3.336 6.128 15.708
O 2.737 7.361 20.563
O 3.415 6.228 9.157
O 6.970 0.197 6.651
O 3.649 5.967 18.120
O 7.075 0.164 13.262
O 3.689 6.060 1.780
O 5.940 2.325 16.807
O 5.005 3.974 5.286
O 5.044 4.070 11.909
O 6.079 2.314 0.405
O 5.269 3.805 20.857
O 5.936 2.662 9.409
O 6.026 2.666 2.821
O 5.340 3.888 14.331
O 5.028 5.937 6.651
O 7.685 1.377 18.120
O 7.746 1.296 1.780
O 5.004 6.045 13.262